# BaNaPrSbO6 | the Materials Project database | PBE | relaxed
# **SG**: F-43m
# **Energy above the lowest structure with this stoichiometry**: 5.5 meV/atom
# **E**: -63.086 eV/cell
# **Formation enthalpy at 0 K**: -2537 meV per atom
data_BaNaPrSbO6
_chemical_formula_sum 'Ba1 Na1 Pr1 Sb1 O6'
_space_group_name_H-M_alt 'P 1'
_space_group_IT_number 1
_space_group_name_Hall 'P 1'
_cell_length_a 6.138
_cell_length_b 6.138
_cell_length_c 6.138
_cell_angle_alpha 60.00
_cell_angle_beta 60.00
_cell_angle_gamma 60.00
loop_
_atom_site_label
_atom_site_type_symbol
_atom_site_fract_x
_atom_site_fract_y
_atom_site_fract_z
_atom_site_occupancy
Ba1 Ba 0.250 0.250 0.250 1
Na1 Na 0.750 0.750 0.750 1
Pr1 Pr 0.000 0.000 0.000 1
Sb1 Sb 0.500 0.500 0.500 1
O1 O 0.731 0.269 0.269 1
O2 O 0.269 0.731 0.731 1
O3 O 0.731 0.269 0.731 1
O4 O 0.269 0.731 0.269 1
O5 O 0.731 0.731 0.269 1
O6 O 0.269 0.269 0.731 1


# BaNaPrSbO6 | the Materials Project database | PBE | relaxed
# **SG**: Pnnn
# **Energy above the lowest structure with this stoichiometry**: 0.0 meV/atom
# **E**: -252.564 eV/cell
# **Formation enthalpy at 0 K**: -2542 meV per atom
data_BaNaPrSbO6
_chemical_formula_sum 'Ba4 Na4 Pr4 Sb4 O24'
_space_group_name_H-M_alt 'P 1'
_space_group_IT_number 1
_space_group_name_Hall 'P 1'
_cell_length_a 8.677
_cell_length_b 8.612
_cell_length_c 8.677
_cell_angle_alpha 90.00
_cell_angle_beta 90.00
_cell_angle_gamma 90.00
loop_
_atom_site_label
_atom_site_type_symbol
_atom_site_fract_x
_atom_site_fract_y
_atom_site_fract_z
_atom_site_occupancy
Ba1 Ba 0.000 0.000 0.000 1
Ba2 Ba 0.500 0.500 0.500 1
Ba3 Ba 0.000 0.500 0.500 1
Ba4 Ba 0.500 0.000 0.000 1
Na1 Na 0.500 0.000 0.500 1
Na2 Na 0.500 0.500 0.000 1
Na3 Na 0.000 0.500 0.000 1
Na4 Na 0.000 0.000 0.500 1
Pr1 Pr 0.750 0.750 0.750 1
Pr2 Pr 0.250 0.250 0.750 1
Pr3 Pr 0.250 0.750 0.250 1
Pr4 Pr 0.750 0.250 0.250 1
Sb1 Sb 0.250 0.250 0.250 1
Sb2 Sb 0.750 0.750 0.250 1
Sb3 Sb 0.750 0.250 0.750 1
Sb4 Sb 0.250 0.750 0.750 1
O1 O 0.021 0.224 0.276 1
O2 O 0.979 0.776 0.276 1
O3 O 0.979 0.224 0.724 1
O4 O 0.021 0.776 0.724 1
O5 O 0.271 0.020 0.219 1
O6 O 0.271 0.980 0.781 1
O7 O 0.729 0.980 0.219 1
O8 O 0.729 0.020 0.781 1
O9 O 0.221 0.267 0.021 1
O10 O 0.779 0.267 0.979 1
O11 O 0.221 0.733 0.979 1
O12 O 0.779 0.733 0.021 1
O13 O 0.479 0.276 0.224 1
O14 O 0.521 0.724 0.224 1
O15 O 0.521 0.276 0.776 1
O16 O 0.479 0.724 0.776 1
O17 O 0.229 0.480 0.281 1
O18 O 0.229 0.520 0.719 1
O19 O 0.771 0.520 0.281 1
O20 O 0.771 0.480 0.719 1
O21 O 0.279 0.233 0.479 1
O22 O 0.721 0.233 0.521 1
O23 O 0.279 0.767 0.521 1
O24 O 0.721 0.767 0.479 1